An optimized crystal structure of Cs4B9Se9. Source: Materials Project, functional GGA-PBE.

## Properties
energy of formation from the pure elements = -0.795 eV per atom
mass density = 3.48 Mg/m³
electronic total energy = -216.82 eV per cell
corrected total energy (MP2020 scheme) = -225.32 eV/cell

Cell lengths 11.031, 11.153, 11.493 Å; angles 92.83, 102.96, 110.39 degrees
Space group P-1 (No. 2)
Asymmetric unit:
Cs1 0.112 0.368 0.131 (multiplicity 2)
Cs2 0.146 0.006 0.373 (multiplicity 2)
Cs3 0.253 0.628 0.473 (multiplicity 2)
Cs4 0.326 0.382 0.748 (multiplicity 2)
B1 0.150 0.823 0.701 (multiplicity 2)
B2 0.178 0.770 0.141 (multiplicity 2)
B3 0.345 0.968 0.019 (multiplicity 2)
B4 0.377 0.866 0.918 (multiplicity 2)
B5 0.386 0.021 0.884 (multiplicity 2)
B6 0.428 0.250 0.252 (multiplicity 2)
B7 0.441 0.875 0.076 (multiplicity 2)
B8 0.457 0.130 0.024 (multiplicity 2)
B9 0.491 0.038 0.140 (multiplicity 2)
Se1 0.003 0.256 0.434 (multiplicity 2)
Se2 0.033 0.665 0.201 (multiplicity 2)
Se3 0.165 0.915 0.054 (multiplicity 2)
Se4 0.225 0.718 0.807 (multiplicity 2)
Se5 0.238 0.015 0.741 (multiplicity 2)
Se6 0.346 0.734 0.164 (multiplicity 2)
Se7 0.404 0.363 0.367 (multiplicity 2)
Se8 0.412 0.280 0.080 (multiplicity 2)
Se9 0.475 0.101 0.301 (multiplicity 2)